Crystalline Ba3Cr2N4 at its relaxed geometry. Source: the Materials Project, functional PBE-GGA.

Symmetry   No. 52
Electronic total energy   -256.298 eV per cell

The structure in POSCAR format:
```
Ba3Cr2N4
1.0
-2.410 -5.529 -1.316
9.191 -4.179 0.728
-1.552 -1.686 9.921
N Ba Cr
16 12 8
Cartesian
3.374 -7.370 5.970
5.015 -4.131 3.839
-1.498 -4.511 6.019
4.072 -5.301 1.531
4.989 -10.226 6.063
3.380 -2.222 1.946
6.727 -6.883 3.313
4.953 -8.611 8.293
1.157 -6.093 7.801
-2.045 -6.759 7.513
0.240 -1.168 3.269
0.213 -7.262 5.493
0.276 -2.783 1.039
7.273 -4.635 1.819
1.855 -4.024 3.363
1.848 -9.172 7.386
5.937 -6.578 5.891
1.424 -3.669 9.195
0.243 -2.327 5.722
3.067 -4.477 5.951
-0.709 -4.816 3.442
3.711 -6.370 9.094
3.805 -7.725 0.137
1.517 -5.023 0.238
4.986 -9.067 3.610
2.161 -6.917 3.382
-1.957 -4.309 -0.032
-2.005 -2.905 8.636
3.583 -3.917 2.656
-2.993 -5.435 6.595
1.646 -7.476 6.676
5.709 -5.382 2.591
3.728 -8.990 6.893
1.501 -2.404 2.439
-0.480 -6.011 6.741
-0.968 -1.780 2.010
```


Crystalline Ba3Cr2N4 at its relaxed geometry. Source: the Materials Project, functional PBE-GGA.

Symmetry   No. 15
Electronic total energy   -125.980 eV per cell

The structure in POSCAR format:
```
Ba3Cr2N4
1.0
-6.654 3.494 1.757
0.999 -8.747 -1.730
1.143 -0.974 5.583
N Ba Cr
8 6 4
Cartesian
-4.128 1.589 3.762
-0.385 -7.815 1.847
-2.836 -1.100 5.348
-2.948 -4.229 5.499
-1.676 -5.127 0.261
-1.166 -5.077 3.158
-3.347 -1.149 2.451
-1.565 -1.998 0.110
-3.703 -4.311 2.488
1.456 -5.973 3.150
0.686 -3.748 0.702
-0.645 -7.884 -0.947
-3.868 1.657 6.556
-0.810 -1.916 3.121
-1.507 -6.254 1.756
-3.006 0.028 3.853
-3.331 -1.640 0.636
-1.181 -4.587 4.973
```


Crystalline BaCr10S16 at its relaxed geometry. Source: the Materials Project, functional PBE-GGA.

Symmetry   No. 2
Electronic total energy   -187.179 eV per cell

The structure in POSCAR format:
```
BaCr10S16
1.0
6.948 0.000 0.000
1.728 8.988 0.000
3.454 2.200 8.364
Cr S Ba
10 16 1
Cartesian
5.201 1.100 4.182
5.193 7.173 3.959
8.666 7.205 6.992
6.937 4.015 4.404
6.942 4.036 1.375
3.463 3.983 1.371
1.727 1.100 4.182
5.188 7.152 6.989
3.465 3.999 4.383
8.664 7.189 3.981
8.665 9.058 5.444
5.192 3.029 5.628
6.925 6.168 5.487
3.445 8.157 2.740
5.205 5.021 2.877
3.465 2.131 2.920
5.194 9.066 5.456
5.218 3.119 0.066
8.668 5.019 2.878
8.685 3.032 5.623
3.462 6.170 5.486
6.912 8.069 8.298
1.709 3.094 0.080
6.938 8.160 2.736
10.421 8.095 8.283
6.936 2.122 2.908
0.000 0.000 0.000
```


Crystalline BaCr4S7 at its relaxed geometry. Source: the Materials Project, functional PBE-GGA.

Symmetry   No. 14
Electronic total energy   -322.872 eV per cell

The structure in POSCAR format:
```
BaCr4S7
1.0
-20.109 -0.586 11.029
2.704 -2.403 4.803
1.174 6.252 2.472
Cr S Ba
16 28 4
Cartesian
-19.128 -0.416 12.475
-10.864 4.468 10.280
-3.138 -0.820 5.997
-8.955 1.488 7.563
-13.093 4.083 12.308
-5.367 -1.206 8.024
-1.711 0.142 2.876
-18.640 2.684 13.831
-4.633 0.377 3.674
-11.598 2.885 14.631
-8.213 4.595 8.780
2.897 3.678 5.829
2.409 0.579 4.473
-14.519 3.121 15.429
-7.275 1.774 10.741
-8.017 -1.333 9.525
-8.329 -0.176 11.525
-17.326 0.803 13.317
-16.708 3.852 14.626
-16.331 -1.958 15.031
-15.362 4.692 11.865
-13.605 -0.106 8.630
-7.694 2.874 12.825
-2.630 1.257 4.846
-3.264 -0.002 8.336
-8.536 0.389 5.480
-6.231 3.795 9.889
-5.450 -0.322 5.809
-0.868 -1.430 6.439
-7.901 3.438 6.779
0.478 -0.590 3.679
-0.456 2.089 1.947
-14.235 -1.365 12.119
-10.780 3.584 12.495
-6.910 0.659 8.630
-12.967 3.265 9.968
-15.774 1.174 16.357
-2.626 3.368 9.674
0.100 5.221 3.273
-9.320 2.603 9.674
-9.999 -0.533 8.415
-13.600 2.005 13.459
1.096 2.459 4.988
-1.996 4.628 6.186
-15.901 1.583 10.573
-0.330 1.679 7.732
-11.442 0.472 11.270
-4.789 2.790 7.035
```


Crystalline BaCrS2 at its relaxed geometry. Source: the Materials Project, functional PBE-GGA.

Symmetry   No. 129
Electronic total energy   -49.962 eV per cell

The structure in POSCAR format:
```
BaCrS2
1.0
-2.840 1.374 3.393
-3.194 -3.030 -1.446
3.554 -6.403 5.569
S Cr Ba
4 2 2
Cartesian
0.727 -5.701 2.918
0.000 0.000 0.000
-3.017 -0.828 0.974
-0.190 -1.530 3.624
1.652 -7.368 4.367
-1.115 0.137 2.175
1.034 -3.735 5.543
-0.498 -3.495 0.999
```


Crystalline Ba3Cr2S6 at its relaxed geometry. Source: the Materials Project, functional PBE-GGA.

Symmetry   No. 167
Electronic total energy   -131.490 eV per cell

The structure in POSCAR format:
```
Ba3Cr2S6
1.0
5.519 -5.969 0.000
5.519 5.969 0.000
-0.936 0.000 8.075
S Cr Ba
12 4 6
Cartesian
1.188 -1.189 7.933
3.163 4.130 7.338
6.472 -1.839 4.775
6.939 -4.130 0.737
3.631 1.839 3.300
5.654 5.318 2.345
7.175 1.189 3.895
2.928 -1.189 4.180
8.915 1.189 0.142
4.916 -0.650 1.692
5.186 0.650 6.383
4.448 -5.318 5.730
5.051 0.000 4.038
7.577 0.000 6.056
0.000 0.000 0.000
2.526 0.000 2.019
8.045 -1.373 2.019
5.560 3.671 5.128
4.075 -2.298 6.985
4.543 -3.671 2.948
6.028 2.298 1.090
2.058 1.373 6.056
```


What is the formula in the fourth record?
BaCr4S7


electronic total energy of number 5 (BaCrS2)?
-49.962 eV per cell